(1)
## BaEu2Sc2O7 (GGA-PBE)

Data for a relaxed structure of BaEu2Sc2O7.

a = 5.874 Å, b = 5.874 Å, c = 20.139 Å
α = 90.00°, β = 90.00°, γ = 90.00°
Space group P4_2/mnm (No. 136)
Symmetry-distinct sites (fractional):
Ba (0.238, 0.238, 0.000) x4
Eu (0.214, 0.214, 0.185) x8
Sc (0.236, 0.236, 0.396) x8
O (0.000, 0.000, 0.096) x4
O (0.000, 0.000, 0.368) x4
O (0.000, 0.500, 0.113) x8
O (0.181, 0.819, 0.211) x8
O (0.215, 0.215, 0.500) x4

DFT formation energy, eV/atom: -3.468
Calculated density, Mg/m³: 6.15
Uncorrected energy, eV for the cell shown: -426.1
Total moment, Bohr magnetons per cell: 48.088

(2)
## BaSrEuSeO6 (GGA-PBE)

Data for a relaxed structure of BaSrEuSeO6.

a = 8.413 Å, b = 8.429 Å, c = 8.455 Å
α = 90.00°, β = 90.00°, γ = 90.00°
Space group P222 (No. 16)
Symmetry-distinct sites (fractional):
Ba (0.000, 0.000, 0.000) x1
Ba (0.000, 0.000, 0.500) x1
Ba (0.500, 0.000, 0.000) x1
Ba (0.500, 0.500, 0.500) x1
Sr (0.251, 0.251, 0.250) x4
Eu (0.000, 0.500, 0.000) x1
Eu (0.000, 0.500, 0.500) x1
Eu (0.500, 0.000, 0.500) x1
Eu (0.500, 0.500, 0.000) x1
Se (0.248, 0.254, 0.749) x4
O (0.032, 0.226, 0.722) x4
O (0.214, 0.288, 0.966) x4
O (0.215, 0.469, 0.708) x4
O (0.275, 0.036, 0.779) x4
O (0.291, 0.218, 0.535) x4
O (0.465, 0.292, 0.787) x4

DFT formation energy, eV/atom: -2.463
Calculated density, Mg/m³: 6.11
Distance to the lowest polymorph of the same formula, eV per atom: 0.000
Uncorrected energy, eV for the cell shown: -270.2
Total moment, Bohr magnetons per cell: 27.914